{
  "formula": "Ce2MnSb2O",
  "functional": "GGA+U",
  "state": "optimized geometry",
  "lattice_angstrom": [[3.255, 0.000, 0.000], [0.000, 3.255, 0.000], [0.000, 0.000, 16.164]],
  "species": ["Ce", "Ce", "Mn", "Sb", "Sb", "O"],
  "frac_coords": [[0.000, 0.000, 0.127], [0.000, 0.000, 0.873], [0.000, 0.000, 0.500], [0.000, 0.000, 0.330], [0.000, 0.000, 0.670], [0.000, 0.000, 0.000]],
  "vol_a3_per_cell": 171.3,
  "sg": "P4/mmm",
  "crystal_system": "tetragonal",
  "density_g_cm3": 5.8,
  "e_form_ev_per_atom": -0.44,
  "magnetic_moment_mub_per_cell": 4.21,
  "corrected_energy_ev_per_fu": -36.898
}

---

{
  "formula": "Li2VO2F2",
  "functional": "GGA+U",
  "state": "optimized geometry",
  "lattice_angstrom": [[1.470, 3.221, 4.553], [5.450, -2.282, -0.357], [2.336, 6.404, -5.286]],
  "species": ["Li", "Li", "Li", "Li", "Li", "Li", "Li", "Li", "V", "V", "V", "V", "O", "O", "O", "O", "O", "O", "O", "O", "F", "F", "F", "F", "F", "F", "F", "F"],
  "frac_coords": [[0.500, 0.750, 0.371], [0.000, 0.250, 0.871], [0.000, 0.750, 0.129], [0.500, 0.250, 0.629], [0.500, 0.000, 0.000], [0.000, 0.500, 0.500], [0.500, 0.500, 0.000], [0.000, 0.000, 0.500], [0.750, 0.750, 0.750], [0.250, 0.750, 0.750], [0.250, 0.250, 0.250], [0.750, 0.250, 0.250], [0.011, 0.034, 0.254], [0.511, 0.534, 0.754], [0.989, 0.466, 0.254], [0.489, 0.966, 0.754], [0.489, 0.466, 0.246], [0.989, 0.966, 0.746], [0.511, 0.034, 0.246], [0.011, 0.534, 0.746], [0.759, 0.245, 0.484], [0.259, 0.745, 0.983], [0.241, 0.255, 0.483], [0.741, 0.755, 0.983], [0.259, 0.245, 0.017], [0.759, 0.745, 0.516], [0.741, 0.255, 0.017], [0.241, 0.755, 0.517]],
  "vol_a3_per_cell": 294.4,
  "density_g_cm3": 3.0,
  "e_form_ev_per_atom": -2.81,
  "magnetic_moment_mub_per_cell": 0.00,
  "corrected_energy_ev_per_fu": -46.319
}

---

{
  "formula": "CrO2",
  "functional": "GGA+U",
  "state": "optimized geometry",
  "lattice_angstrom": [[4.320, 0.000, 0.000], [0.000, 5.503, 0.000], [0.000, 0.000, 5.023]],
  "species": ["Cr", "Cr", "Cr", "Cr", "O", "O", "O", "O", "O", "O", "O", "O"],
  "frac_coords": [[0.000, 0.145, 0.250], [0.000, 0.855, 0.750], [0.500, 0.355, 0.750], [0.500, 0.645, 0.250], [0.237, 0.116, 0.584], [0.237, 0.884, 0.084], [0.263, 0.384, 0.084], [0.263, 0.616, 0.584], [0.737, 0.384, 0.416], [0.737, 0.616, 0.916], [0.763, 0.116, 0.916], [0.763, 0.884, 0.416]],
  "vol_a3_per_cell": 119.4,
  "sg": "Pbcn",
  "crystal_system": "orthorhombic",
  "density_g_cm3": 4.7,
  "e_form_ev_per_atom": -2.02,
  "corrected_energy_ev_per_fu": -25.609
}

---

{
  "formula": "SbW5O15",
  "functional": "GGA+U",
  "state": "optimized geometry",
  "lattice_angstrom": [[3.858, -10.431, 0.000], [3.858, 10.431, 0.000], [0.000, 0.000, 7.538]],
  "species": ["Sb", "Sb", "W", "W", "W", "W", "W", "W", "W", "W", "W", "W", "O", "O", "O", "O", "O", "O", "O", "O", "O", "O", "O", "O", "O", "O", "O", "O", "O", "O", "O", "O", "O", "O", "O", "O", "O", "O", "O", "O", "O", "O"],
  "frac_coords": [[0.250, 0.750, 0.926], [0.750, 0.250, 0.074], [0.090, 0.910, 0.246], [0.090, 0.910, 0.750], [0.250, 0.750, 0.482], [0.410, 0.590, 0.246], [0.410, 0.590, 0.750], [0.590, 0.410, 0.250], [0.590, 0.410, 0.754], [0.750, 0.250, 0.518], [0.910, 0.090, 0.250], [0.910, 0.090, 0.754], [0.000, 0.000, 0.196], [0.000, 0.000, 0.804], [0.000, 0.500, 0.500], [0.075, 0.925, 0.500], [0.121, 0.879, 0.999], [0.157, 0.342, 0.246], [0.158, 0.343, 0.754], [0.184, 0.816, 0.318], [0.189, 0.811, 0.702], [0.311, 0.689, 0.702], [0.316, 0.684, 0.318], [0.342, 0.157, 0.754], [0.343, 0.158, 0.246], [0.379, 0.621, 0.999], [0.425, 0.575, 0.500], [0.500, 0.000, 0.500], [0.500, 0.500, 0.196], [0.500, 0.500, 0.804], [0.575, 0.425, 0.500], [0.621, 0.379, 0.001], [0.657, 0.842, 0.754], [0.658, 0.843, 0.246], [0.684, 0.316, 0.682], [0.689, 0.311, 0.298], [0.811, 0.189, 0.298], [0.816, 0.184, 0.682], [0.842, 0.657, 0.246], [0.843, 0.658, 0.754], [0.879, 0.121, 0.001], [0.925, 0.075, 0.500]],
  "vol_a3_per_cell": 606.8,
  "sg": "Cmme",
  "crystal_system": "orthorhombic",
  "density_g_cm3": 7.0,
  "e_form_ev_per_atom": -2.06,
  "magnetic_moment_mub_per_cell": 3.71,
  "corrected_energy_ev_per_fu": -186.394
}

---

{
  "formula": "Na2Mo2As3O16",
  "functional": "GGA+U",
  "state": "optimized geometry",
  "lattice_angstrom": [[7.926, 0.000, 0.000], [-1.907, 9.283, 0.000], [-3.207, -3.764, 10.467]],
  "species": ["Na", "Na", "Na", "Na", "Mo", "Mo", "Mo", "Mo", "As", "As", "As", "As", "As", "As", "O", "O", "O", "O", "O", "O", "O", "O", "O", "O", "O", "O", "O", "O", "O", "O", "O", "O", "O", "O", "O", "O", "O", "O", "O", "O", "O", "O", "O", "O", "O", "O"],
  "frac_coords": [[0.171, 0.284, 0.035], [0.281, 0.971, 0.357], [0.719, 0.029, 0.643], [0.829, 0.716, 0.965], [0.259, 0.561, 0.795], [0.435, 0.650, 0.091], [0.565, 0.350, 0.909], [0.741, 0.439, 0.205], [0.101, 0.687, 0.445], [0.198, 0.130, 0.672], [0.481, 0.653, 0.399], [0.519, 0.347, 0.601], [0.802, 0.870, 0.328], [0.899, 0.313, 0.555], [0.004, 0.545, 0.287], [0.022, 0.848, 0.413], [0.091, 0.871, 0.139], [0.163, 0.012, 0.130], [0.189, 0.008, 0.022], [0.205, 0.558, 0.968], [0.265, 0.746, 0.809], [0.280, 0.313, 0.281], [0.287, 0.310, 0.805], [0.315, 0.495, 0.656], [0.325, 0.772, 0.437], [0.337, 0.173, 0.572], [0.369, 0.236, 0.332], [0.372, 0.600, 0.226], [0.466, 0.844, 0.138], [0.491, 0.401, 0.066], [0.509, 0.599, 0.934], [0.534, 0.156, 0.862], [0.628, 0.400, 0.774], [0.631, 0.764, 0.668], [0.663, 0.827, 0.428], [0.675, 0.228, 0.563], [0.685, 0.505, 0.344], [0.713, 0.690, 0.195], [0.720, 0.687, 0.719], [0.735, 0.254, 0.191], [0.795, 0.442, 0.032], [0.811, 0.992, 0.978], [0.837, 0.988, 0.870], [0.909, 0.129, 0.861], [0.978, 0.152, 0.587], [0.996, 0.455, 0.713]],
  "vol_a3_per_cell": 770.2,
  "sg": "P-1",
  "crystal_system": "triclinic",
  "density_g_cm3": 3.1,
  "e_form_ev_per_atom": -1.08,
  "magnetic_moment_mub_per_cell": 4.95,
  "corrected_energy_ev_per_fu": -142.272
}

---

{
  "formula": "Li9Mn2Co5O16",
  "functional": "GGA+U",
  "state": "optimized geometry",
  "lattice_angstrom": [[2.988, 0.000, 0.000], [0.393, 9.896, 0.000], [0.384, 2.038, 9.792]],
  "species": ["Li", "Li", "Li", "Li", "Li", "Li", "Li", "Li", "Li", "Mn", "Mn", "Co", "Co", "Co", "Co", "Co", "O", "O", "O", "O", "O", "O", "O", "O", "O", "O", "O", "O", "O", "O", "O", "O"],
  "frac_coords": [[0.000, 0.000, 0.000], [0.001, 0.003, 0.494], [0.009, 0.261, 0.621], [0.484, 0.006, 0.739], [0.494, 0.002, 0.247], [0.494, 0.489, 0.503], [0.505, 0.503, 0.000], [0.980, 0.496, 0.739], [0.997, 0.499, 0.248], [0.003, 0.751, 0.870], [0.483, 0.251, 0.866], [0.478, 0.751, 0.619], [0.503, 0.749, 0.125], [0.504, 0.250, 0.381], [0.981, 0.246, 0.124], [0.986, 0.750, 0.373], [0.005, 0.142, 0.818], [0.017, 0.633, 0.054], [0.021, 0.869, 0.686], [0.037, 0.365, 0.426], [0.454, 0.137, 0.057], [0.463, 0.637, 0.800], [0.472, 0.863, 0.439], [0.496, 0.135, 0.538], [0.496, 0.369, 0.699], [0.504, 0.635, 0.303], [0.523, 0.357, 0.193], [0.541, 0.868, 0.943], [0.947, 0.637, 0.554], [0.966, 0.139, 0.304], [0.967, 0.354, 0.937], [0.987, 0.865, 0.192]],
  "vol_a3_per_cell": 289.6,
  "sg": "P1",
  "crystal_system": "triclinic",
  "density_g_cm3": 4.1,
  "e_form_ev_per_atom": -1.80,
  "magnetic_moment_mub_per_cell": 10.00,
  "corrected_energy_ev_per_fu": -207.849
}